The following is a DFT calculation (r2SCAN) of a geometry-optimized Sr2Ir structure.

Unit cell a=7.224 b=7.224 c=7.224 alpha=90.00 beta=90.00 gamma=90.00
Space group Fm-3m (No. 225)
Symmetry-distinct sites (fractional):
Sr 0.250 0.250 0.250 (multiplicity 8)
Ir 0.000 0.000 0.000 (multiplicity 4)

Summary:
The total energy comes out at -27.65 eV per atom. The spin magnetization comes out at 0.00 μB per cell. Its formation energy is -0.098 eV/atom. Its density is 6.5 g/cm³.

***

The following is a DFT calculation (r2SCAN) of a geometry-optimized KCl structure.

Unit cell a=6.284 b=6.284 c=6.284 alpha=90.00 beta=90.00 gamma=90.00
Space group Fm-3m (No. 225)
Symmetry-distinct sites (fractional):
K 0.000 0.000 0.000 (multiplicity 4)
Cl 0.000 0.000 0.500 (multiplicity 4)

Summary:
The total energy comes out at -8.26 eV per atom. The spin magnetization comes out at 0.00 μB per cell. Its formation energy is -2.175 eV/atom. Its density is 2.0 g/cm³.

***

The following is a DFT calculation (r2SCAN) of a geometry-optimized Na6Ge2S7 structure.

Unit cell a=9.066 b=10.431 c=15.032 alpha=90.00 beta=105.03 gamma=90.00
Space group C2/c (No. 15)
Symmetry-distinct sites (fractional):
Na 0.000 0.000 0.000 (multiplicity 4)
Na 0.000 0.078 0.250 (multiplicity 4)
Na 0.116 0.354 0.574 (multiplicity 8)
Na 0.230 0.222 0.863 (multiplicity 8)
Ge 0.157 0.418 0.361 (multiplicity 8)
S 0.000 0.462 0.750 (multiplicity 4)
S 0.052 0.242 0.395 (multiplicity 8)
S 0.131 0.125 0.679 (multiplicity 8)
S 0.197 0.437 0.973 (multiplicity 8)

Summary:
The total energy comes out at -8.11 eV per atom. The spin magnetization comes out at 0.00 μB per cell. Its formation energy is -1.088 eV/atom. Its density is 2.5 g/cm³.